one | Below is a relaxed Sr8V6O19 crystal, with properties calculated at the GGA+U level.

Lattice parameters (Å, degrees): 14.346 14.346 5.567 90.00 90.00 157.54
Element x y z (fractional)
O1 0.251 0.258 0.745
O2 0.066 0.934 0.000
Sr1 0.069 0.931 0.500
O3 0.708 0.292 0.500
V1 0.640 0.360 0.500
V2 0.140 0.860 0.000
O4 0.742 0.749 0.745
O5 0.573 0.427 0.500
Sr2 0.297 0.703 0.000
V3 0.862 0.138 0.000
O6 0.385 0.108 0.246
Sr3 0.798 0.202 0.500
Sr4 0.933 0.067 0.500
O7 0.210 0.790 0.000
O8 0.892 0.615 0.754
Sr5 0.701 0.299 0.000
V4 0.356 0.644 0.500
O9 0.614 0.884 0.249
O10 0.614 0.884 0.751
O11 0.286 0.714 0.500
Sr6 0.201 0.799 0.500
O12 0.791 0.209 0.000
O13 0.385 0.108 0.754
O14 0.116 0.386 0.751
O15 0.251 0.258 0.255
Sr7 0.569 0.431 0.000
O16 0.116 0.386 0.249
Sr8 0.433 0.567 0.000
V5 0.505 0.495 0.500
V6 0.999 0.001 0.000
O17 0.892 0.615 0.246
O18 0.742 0.749 0.255
O19 0.932 0.068 0.000

Results
crystal system: orthorhombic

---

two | Below is a relaxed Sr8V6O19 crystal, with properties calculated at the GGA+U level.

Lattice parameters (Å, degrees): 14.168 12.724 15.034 34.75 34.00 26.09
Element x y z (fractional)
O1 0.225 0.882 0.967
Sr1 0.546 0.464 0.908
O2 0.808 0.299 0.967
V1 0.166 0.979 0.668
Sr2 0.316 0.288 0.369
O3 0.631 0.046 0.160
V2 0.610 0.976 0.780
O4 0.077 0.727 0.303
O5 0.599 0.615 0.291
Sr3 0.457 0.643 0.085
V3 0.422 0.925 0.157
V4 0.084 0.083 0.831
O6 0.931 0.198 0.137
Sr4 0.965 0.688 0.069
O7 0.960 0.331 0.656
V5 0.394 0.142 0.212
O8 0.403 0.318 0.699
O9 0.898 0.822 0.699
Sr5 0.038 0.431 0.923
O10 0.117 0.802 0.767
O11 0.494 0.869 0.013
O12 0.208 0.469 0.160
O13 0.632 0.859 0.736
O14 0.110 0.103 0.291
O15 0.621 0.183 0.303
Sr6 0.724 0.798 0.553
Sr7 0.803 0.192 0.394
O16 0.384 0.907 0.656
O17 0.045 0.919 0.911
Sr8 0.225 0.774 0.549
V6 0.925 0.052 0.150
O18 0.279 0.033 0.441
O19 0.472 0.112 0.055

Results
crystal system: monoclinic

---

Stability summary: most stable one, least stable two.

---

one | Below is a relaxed Sr3W2O9 crystal, with properties calculated at the GGA+U level.

Lattice parameters (Å, degrees): 8.117 9.069 9.670 62.85 90.00 90.00
Element x y z (fractional)
O1 0.250 0.979 0.503
O2 0.935 0.105 0.206
O3 0.750 0.860 0.009
O4 0.565 0.300 0.776
W1 0.250 0.571 0.270
O5 0.750 0.021 0.497
Sr1 0.750 0.628 0.255
Sr2 0.250 0.372 0.745
O6 0.250 0.638 0.746
W2 0.250 0.851 0.710
O7 0.435 0.895 0.794
O8 0.435 0.700 0.224
O9 0.935 0.300 0.776
O10 0.750 0.580 0.527
O11 0.250 0.140 0.991
O12 0.065 0.700 0.224
O13 0.565 0.105 0.206
O14 0.250 0.457 0.158
Sr3 0.250 0.166 0.222
O15 0.750 0.543 0.842
W3 0.750 0.149 0.290
Sr4 0.500 0.000 0.000
Sr5 0.750 0.834 0.778
O16 0.750 0.362 0.254
Sr6 0.000 0.000 0.000
O17 0.065 0.895 0.794
O18 0.250 0.420 0.473
W4 0.750 0.429 0.730

Results
crystal system: monoclinic

---

two | Below is a relaxed Sr3W2O9 crystal, with properties calculated at the GGA+U level.

Lattice parameters (Å, degrees): 7.348 7.348 7.348 84.89 84.89 84.89
Element x y z (fractional)
O1 0.750 0.901 0.599
O2 0.901 0.599 0.750
O3 0.250 0.099 0.401
O4 0.243 0.416 0.580
W1 0.857 0.857 0.857
Sr1 0.750 0.423 0.077
O5 0.916 0.743 0.080
O6 0.257 0.920 0.084
O7 0.580 0.243 0.416
O8 0.401 0.250 0.099
O9 0.920 0.084 0.257
O10 0.084 0.257 0.920
O11 0.099 0.401 0.250
W2 0.143 0.143 0.143
Sr2 0.577 0.923 0.250
Sr3 0.250 0.577 0.923
O12 0.416 0.580 0.243
O13 0.743 0.080 0.916
Sr4 0.077 0.750 0.423
W3 0.643 0.643 0.643
O14 0.757 0.584 0.420
Sr5 0.423 0.077 0.750
O15 0.080 0.916 0.743
W4 0.357 0.357 0.357
Sr6 0.923 0.250 0.577
O16 0.584 0.420 0.757
O17 0.599 0.750 0.901
O18 0.420 0.757 0.584

Results
crystal system: trigonal

---

Stability summary: most stable two, least stable one.

---

one | Below is a relaxed Ta2WO8 crystal, with properties calculated at the GGA+U level.

Lattice parameters (Å, degrees): 10.457 10.457 5.172 88.41 88.41 34.12
Element x y z (fractional)
O1 0.334 0.562 0.931
O2 0.100 0.785 0.421
O3 0.666 0.438 0.069
O4 0.785 0.100 0.921
Ta1 0.956 0.310 0.255
W1 0.655 0.345 0.750
Ta2 0.690 0.044 0.245
O5 0.900 0.215 0.579
O6 0.427 0.203 0.146
O7 0.562 0.334 0.431
O8 0.203 0.427 0.646
O9 0.573 0.797 0.854
Ta3 0.310 0.956 0.755
O10 0.758 0.916 0.576
Ta4 0.044 0.690 0.745
O11 0.916 0.758 0.076
O12 0.242 0.084 0.424
O13 0.215 0.900 0.079
O14 0.084 0.242 0.924
W2 0.345 0.655 0.250
O15 0.438 0.666 0.569
O16 0.797 0.573 0.354

Results
crystal system: monoclinic

---

two | Below is a relaxed Ta2WO8 crystal, with properties calculated at the GGA+U level.

Lattice parameters (Å, degrees): 18.118 3.884 16.946 89.97 90.00 90.00
Element x y z (fractional)
O1 0.097 0.503 0.750
O2 0.045 0.494 0.131
O3 0.063 0.002 0.869
O4 0.561 0.001 0.630
Ta1 0.153 0.007 0.939
O5 0.439 0.001 0.130
O6 0.227 0.493 0.245
O7 0.853 0.996 0.668
W1 0.950 0.969 0.632
O8 0.955 0.494 0.631
Ta2 0.551 0.000 0.369
O9 0.550 0.502 0.127
O10 0.747 0.001 0.505
O11 0.153 0.992 0.334
O12 0.189 0.004 0.677
O13 0.727 0.518 0.250
O14 0.688 0.999 0.672
O15 0.746 0.001 0.994
O16 0.847 0.992 0.834
W2 0.342 0.970 0.060
Ta3 0.844 0.006 0.059
O17 0.809 0.005 0.326
Ta4 0.777 0.982 0.752
Ta5 0.449 0.000 0.869
O18 0.061 0.003 0.630
O19 0.191 0.005 0.826
O20 0.312 0.999 0.326
O21 0.403 0.503 0.250
O22 0.773 0.493 0.745
O23 0.688 0.999 0.826
O24 0.346 0.007 0.668
O25 0.589 0.000 0.022
O26 0.589 0.001 0.478
O27 0.084 0.003 0.478
Ta6 0.406 0.008 0.249
O28 0.657 0.492 0.935
O29 0.044 0.500 0.369
O30 0.981 0.001 0.748
W3 0.657 0.970 0.940
Ta7 0.948 0.001 0.870
O31 0.658 0.492 0.564
O32 0.811 0.004 0.177
O33 0.411 0.001 0.978
Ta8 0.594 0.008 0.749
O34 0.478 0.002 0.750
O35 0.903 0.503 0.250
O36 0.833 0.504 0.062
Ta9 0.223 0.982 0.252
O37 0.253 0.001 0.005
O38 0.937 0.002 0.369
O39 0.273 0.518 0.750
O40 0.654 0.007 0.330
O41 0.939 0.003 0.130
Ta10 0.052 0.001 0.370
Ta11 0.905 0.999 0.251
O42 0.561 0.001 0.869
W4 0.050 0.969 0.132
O43 0.164 0.505 0.944
Ta12 0.450 0.999 0.632
O44 0.254 0.001 0.494
W5 0.658 0.970 0.560
O45 0.019 0.001 0.248
O46 0.343 0.492 0.435
O47 0.522 0.002 0.250
O48 0.439 0.001 0.369
O49 0.147 0.996 0.168
Ta13 0.156 0.006 0.559
O50 0.450 0.502 0.627
O51 0.451 0.502 0.873
Ta14 0.847 0.007 0.439
O52 0.836 0.505 0.444
O53 0.346 0.007 0.830
Ta15 0.095 0.999 0.751
W6 0.343 0.970 0.440
O54 0.916 0.003 0.978
O55 0.549 0.502 0.373
O56 0.920 0.007 0.526
O57 0.080 0.007 0.026
W7 0.277 0.046 0.749
Ta16 0.550 0.999 0.132
O58 0.312 0.999 0.172
W8 0.723 0.046 0.249
O59 0.411 0.000 0.522
O60 0.956 0.500 0.869
O61 0.654 0.007 0.168
O62 0.342 0.492 0.064
O63 0.597 0.503 0.750
O64 0.167 0.504 0.562

Results
crystal system: monoclinic

---

Stability summary: most stable two, least stable one.